# 1
This record from Materials Project describes Li3Fe8B8O24 after structural relaxation. The functional is GGA+U.

Results
- Relative energy among the computed polymorphs: 0.007 eV/atom
- Symmetry: No. 1

a b c (Å): 5.2356 5.2627 20.1381
angles (deg): 90.07 90.53 119.20
Last column: nearest neighbours and their distance in Å.
Sites, in units of the cell vectors:
Li: 0.0000 0.0000 0.0000  3 O 1.90-2.05
Li: 0.0307 0.9796 0.2490  4 O 1.92-2.10
Li: 0.6969 0.6797 0.3769  4 O 1.96-2.11
Fe: 0.0307 0.3313 0.8593  4 O 1.87-2.09
Fe: 0.0364 0.3362 0.3604  5 O 1.99-2.23
Fe: 0.3540 0.0018 0.6108  4 O 1.86-2.03
Fe: 0.3569 0.6571 0.7346  5 O 1.86-2.08
Fe: 0.3662 0.6502 0.2323  4 O 1.97-2.13
Fe: 0.3694 0.0035 0.1091  5 O 1.90-2.13
Fe: 0.6710 0.3412 0.9817  4 O 1.96-2.15
Fe: 0.6833 0.3254 0.4873  5 O 1.91-2.09
B: 0.0154 0.3328 0.6095  3 O 1.35-1.41
B: 0.0253 0.3381 0.1068  3 O 1.37-1.39
B: 0.3532 0.6731 0.9836  3 O 1.36-1.41
B: 0.3554 0.6670 0.4856  3 O 1.37-1.40
B: 0.3590 0.9925 0.8571  3 O 1.36-1.41
B: 0.3594 0.9945 0.3609  3 O 1.38-1.41
B: 0.6984 0.3288 0.7335  3 O 1.35-1.41
B: 0.6993 0.3280 0.2337  3 O 1.37-1.42
O: 0.0570 0.0992 0.6061  1 B 1.35
O: 0.0665 0.1011 0.0992  1 B 1.37
O: 0.0842 0.4411 0.4663  1 B 1.39
O: 0.0958 0.9907 0.3525  1 B 1.38
O: 0.0999 0.4198 0.9612  1 B 1.41
O: 0.1175 0.0259 0.8585  1 B 1.36
O: 0.2339 0.5996 0.6348  1 B 1.40
O: 0.2487 0.6030 0.1297  1 B 1.39
O: 0.3255 0.9133 0.0054  1 B 1.41
O: 0.3410 0.7306 0.8347  1 B 1.41
O: 0.3721 0.9259 0.5089  1 B 1.40
O: 0.3826 0.7503 0.3442  1 B 1.39
O: 0.4378 0.0768 0.2127  1 B 1.42
O: 0.4797 0.0600 0.7079  1 B 1.41
O: 0.6024 0.6409 0.4790  1 B 1.37
O: 0.6087 0.2458 0.3852  1 B 1.41
O: 0.6181 0.6856 0.9844  1 B 1.36
O: 0.6288 0.2132 0.8790  1 B 1.39
O: 0.6552 0.5616 0.7352  1 B 1.35
O: 0.7094 0.5921 0.2382  1 B 1.37
O: 0.7534 0.3207 0.5874  1 B 1.41
O: 0.7561 0.3116 0.0890  1 B 1.39
O: 0.9441 0.3029 0.2517  1 B 1.40
O: 0.9583 0.3409 0.7557  1 B 1.40

---

# 2
This record from Materials Project describes Sr2Ca6FeCo7O24 after structural relaxation. The functional is GGA+U.

Results
- Symmetry: No. 38

a b c (Å): 7.6604 7.6140 7.6140
angles (deg): 90.07 90.00 90.00
Last column: nearest neighbours and their distance in Å.
Sites, in units of the cell vectors:
Sr: 0.2494 0.0000 0.0000  12 O 2.70-2.76
Sr: 0.7506 0.0000 0.0000  12 O 2.70-2.76
Ca: 0.2499 0.0002 0.4944  12 O 2.65-2.73
Ca: 0.2499 0.4944 0.0002  12 O 2.65-2.73
Ca: 0.2495 0.4936 0.4936  12 O 2.61-2.71
Ca: 0.7501 0.0002 0.4944  12 O 2.65-2.73
Ca: 0.7501 0.4944 0.0002  12 O 2.65-2.73
Ca: 0.7505 0.4936 0.4936  12 O 2.61-2.71
Fe: 0.5000 0.7461 0.7461  6 O 1.91-2.03
Co: 0.0000 0.2483 0.7458  6 O 1.84-1.96
Co: 0.0000 0.2489 0.2489  6 O 1.85-1.91
Co: 0.0000 0.7452 0.7452  6 O 1.80-1.98
Co: 0.0000 0.7458 0.2483  6 O 1.84-1.96
Co: 0.5000 0.2483 0.2483  6 O 1.92-1.94
Co: 0.5000 0.2488 0.7452  6 O 1.86-1.90
Co: 0.5000 0.7452 0.2488  6 O 1.86-1.90
O: 0.0000 0.0036 0.2524  2 Co 1.87-1.96
O: 0.0000 0.0053 0.7407  2 Co 1.85-1.98
O: 0.0000 0.2494 0.4915  2 Co 1.85-1.94
O: 0.0000 0.2524 0.0036  2 Co 1.87-1.96
O: 0.0000 0.4894 0.7463  2 Co 1.84-1.95
O: 0.0000 0.4915 0.2494  2 Co 1.85-1.94
O: 0.0000 0.7407 0.0053  2 Co 1.85-1.98
O: 0.0000 0.7463 0.4894  2 Co 1.84-1.95
O: 0.2351 0.7440 0.7440  1 Co 1.80
O: 0.2490 0.2512 0.2512  2 Co 1.91-1.92
O: 0.2551 0.2511 0.7432  2 Co 1.88-1.95
O: 0.2551 0.7432 0.2511  2 Co 1.88-1.95
O: 0.5000 0.2483 0.5003  2 Co 1.86-1.92
O: 0.5000 0.2536 0.9936  2 Co 1.89-1.94
O: 0.5000 0.4952 0.7453  1 Co 1.88, 1 Fe 1.91
O: 0.5000 0.5003 0.2483  2 Co 1.86-1.92
O: 0.5000 0.7412 0.9989  1 Co 1.90, 1 Fe 1.93
O: 0.5000 0.7453 0.4952  1 Co 1.88, 1 Fe 1.91
O: 0.5000 0.9936 0.2536  2 Co 1.89-1.94
O: 0.5000 0.9989 0.7412  1 Co 1.90, 1 Fe 1.93
O: 0.7449 0.2511 0.7432  2 Co 1.88-1.95
O: 0.7449 0.7432 0.2511  2 Co 1.88-1.95
O: 0.7510 0.2512 0.2512  2 Co 1.91-1.92
O: 0.7649 0.7440 0.7440  1 Co 1.80

---

# 3
This record from Materials Project describes NiSO10 after structural relaxation. The functional is GGA+U.

Results
- Relative energy among the computed polymorphs: 0.013 eV/atom
- Symmetry: No. 15

a b c (Å): 5.7535 5.7535 23.1467
angles (deg): 99.02 99.02 70.53
Last column: nearest neighbours and their distance in Å.
Sites, in units of the cell vectors:
Ni: 0.0000 0.0000 0.0000  6 O 1.83-1.84
Ni: 0.0000 0.0000 0.5000  6 O 1.83-1.84
Ni: 0.0434 0.9566 0.7500  6 O 1.81-1.84
Ni: 0.9566 0.0434 0.2500  6 O 1.81-1.84
S: 0.3205 0.4228 0.1230  4 O 1.48-1.51
S: 0.4228 0.3205 0.6230  4 O 1.48-1.51
S: 0.5772 0.6795 0.3770  4 O 1.48-1.51
S: 0.6795 0.5772 0.8770  4 O 1.48-1.51
O: 0.0012 0.7525 0.2788  1 Ni 1.82
O: 0.0492 0.5536 0.1171  1 S 1.48
O: 0.0687 0.6607 0.7750  1 Ni 1.84
O: 0.0777 0.2163 0.3128  1 Ni 1.81
O: 0.1094 0.6896 0.4607  1 Ni 1.83
O: 0.1272 0.8638 0.9299  1 Ni 1.84
O: 0.1362 0.8728 0.5701  1 Ni 1.84
O: 0.1488 0.1989 0.9750  1 Ni 1.84
O: 0.1554 0.3664 0.6307  1 S 1.51
O: 0.1989 0.1488 0.4750  1 Ni 1.84
O: 0.2163 0.0777 0.8128  1 Ni 1.81
O: 0.2475 0.9988 0.2212  1 Ni 1.82
O: 0.3104 0.8906 0.0393  1 Ni 1.83
O: 0.3393 0.9313 0.7250  1 Ni 1.84
O: 0.3664 0.1554 0.1307  1 S 1.51
O: 0.4240 0.4249 0.0678  1 S 1.50
O: 0.4249 0.4240 0.5678  1 S 1.50
O: 0.4429 0.5415 0.1746  1 S 1.48
O: 0.4464 0.9508 0.3829  1 S 1.48
O: 0.4585 0.5571 0.3254  1 S 1.48
O: 0.5415 0.4429 0.6746  1 S 1.48
O: 0.5536 0.0492 0.6171  1 S 1.48
O: 0.5571 0.4585 0.8254  1 S 1.48
O: 0.5751 0.5760 0.4322  1 S 1.50
O: 0.5760 0.5751 0.9322  1 S 1.50
O: 0.6336 0.8446 0.8693  1 S 1.51
O: 0.6607 0.0687 0.2750  1 Ni 1.84
O: 0.6896 0.1094 0.9607  1 Ni 1.83
O: 0.7525 0.0012 0.7788  1 Ni 1.82
O: 0.7837 0.9223 0.1872  1 Ni 1.81
O: 0.8011 0.8512 0.5250  1 Ni 1.84
O: 0.8446 0.6336 0.3693  1 S 1.51
O: 0.8512 0.8011 0.0250  1 Ni 1.84
O: 0.8638 0.1272 0.4299  1 Ni 1.84
O: 0.8728 0.1362 0.0701  1 Ni 1.84
O: 0.8906 0.3104 0.5393  1 Ni 1.83
O: 0.9223 0.7837 0.6872  1 Ni 1.81
O: 0.9313 0.3393 0.2250  1 Ni 1.84
O: 0.9508 0.4464 0.8829  1 S 1.48
O: 0.9988 0.2475 0.7212  1 Ni 1.82

---

# 4
This record from Materials Project describes KMo4P8O28 after structural relaxation. The functional is GGA+U.

Results
- Symmetry: No. 80

a b c (Å): 15.5380 15.5380 15.5380
angles (deg): 91.51 91.51 161.34
Last column: nearest neighbours and their distance in Å.
Sites, in units of the cell vectors:
K: 0.0000 0.0000 0.0000  4 O 2.69-2.86
K: 0.7500 0.2500 0.5000  4 O 2.69-2.86
Mo: 0.0438 0.0138 0.2586  6 O 2.03-2.11
Mo: 0.1436 0.4034 0.0291  6 O 2.05-2.16
Mo: 0.1534 0.6243 0.7598  6 O 2.05-2.16
Mo: 0.3743 0.1145 0.9709  6 O 2.05-2.16
Mo: 0.5352 0.2938 0.5300  6 O 2.03-2.11
Mo: 0.7552 0.7852 0.7414  6 O 2.03-2.11
Mo: 0.7638 0.0052 0.4700  6 O 2.03-2.11
Mo: 0.8645 0.3936 0.2402  6 O 2.05-2.16
P: 0.0369 0.8932 0.6403  4 O 1.52-1.62
P: 0.1466 0.2869 0.6437  4 O 1.52-1.62
P: 0.2529 0.3966 0.3597  4 O 1.52-1.62
P: 0.2669 0.9070 0.1438  4 O 1.52-1.64
P: 0.2707 0.5806 0.6025  4 O 1.50-1.62
P: 0.3306 0.2280 0.8099  4 O 1.50-1.62
P: 0.4182 0.5207 0.1901  4 O 1.50-1.62
P: 0.4922 0.8888 0.3095  4 O 1.51-1.61
P: 0.5792 0.1827 0.6905  4 O 1.51-1.61
P: 0.6388 0.8292 0.8966  4 O 1.51-1.61
P: 0.6432 0.5029 0.3563  4 O 1.52-1.62
P: 0.6570 0.0133 0.1402  4 O 1.52-1.64
P: 0.7633 0.1231 0.8562  4 O 1.52-1.64
P: 0.8731 0.5169 0.8598  4 O 1.52-1.64
P: 0.9327 0.7422 0.1034  4 O 1.51-1.61
P: 0.9780 0.6682 0.3975  4 O 1.50-1.62
O: 0.0050 0.2150 0.3771  1 P 1.54
O: 0.0060 0.1472 0.5495  1 P 1.52
O: 0.0094 0.5586 0.8587  1 P 1.52
O: 0.0207 0.3446 0.5275  1 P 1.56
O: 0.0318 0.6393 0.3463  1 P 1.50
O: 0.0652 0.7765 0.8749  1 P 1.53
O: 0.0712 0.6492 0.1547  1 P 1.52
O: 0.0853 0.9120 0.0287  1 P 1.54
O: 0.0946 0.0670 0.8238  1 P 1.56
O: 0.1249 0.8633 0.1687  2 P 1.61-1.64
O: 0.1943 0.6238 0.2767  1 P 1.51
O: 0.2044 0.0371 0.7369  2 P 1.62
O: 0.2065 0.2560 0.3588  1 P 1.52
O: 0.2175 0.4544 0.6674  2 P 1.62
O: 0.2405 0.9664 0.4330  1 P 1.53
O: 0.2432 0.2707 0.1762  1 P 1.56
O: 0.2463 0.0905 0.5777  1 P 1.53
O: 0.2929 0.6855 0.6537  1 P 1.50
O: 0.3001 0.4675 0.2631  2 P 1.62
O: 0.3086 0.9499 0.0492  1 P 1.52
O: 0.3471 0.9177 0.7233  1 P 1.51
O: 0.3738 0.5971 0.9295  1 P 1.51
O: 0.3778 0.2550 0.2900  1 P 1.54
O: 0.3893 0.5429 0.1074  1 P 1.50
O: 0.3992 0.7444 0.0779  1 P 1.52
O: 0.4186 0.4963 0.6558  1 P 1.53
O: 0.4355 0.2818 0.8926  1 P 1.50
O: 0.4762 0.1325 0.6062  1 P 1.53
O: 0.4944 0.9165 0.8453  1 P 1.52
O: 0.5128 0.6686 0.4223  1 P 1.53
O: 0.5265 0.1516 0.2113  1 P 1.53
O: 0.5263 0.8700 0.3938  1 P 1.53
O: 0.5334 0.8075 0.5670  1 P 1.53
O: 0.5575 0.4905 0.7741  1 P 1.53
O: 0.5977 0.4565 0.4505  1 P 1.52
O: 0.6133 0.9446 0.2384  2 P 1.61-1.64
O: 0.6200 0.7262 0.8437  1 P 1.53
O: 0.6620 0.1333 0.3267  1 P 1.54
O: 0.6665 0.3212 0.9221  1 P 1.52
O: 0.6677 0.4443 0.0705  1 P 1.51
O: 0.6946 0.9561 0.8313  2 P 1.61-1.64
O: 0.6999 0.1507 0.1413  1 P 1.52
O: 0.7061 0.3749 0.7616  2 P 1.61-1.64
O: 0.7164 0.7834 0.2259  1 P 1.53
O: 0.7871 0.5501 0.3326  2 P 1.62
O: 0.8066 0.3353 0.6733  1 P 1.54
O: 0.8170 0.4932 0.4725  1 P 1.56
O: 0.8379 0.6278 0.6229  1 P 1.54
O: 0.8405 0.7628 0.3442  1 P 1.53
O: 0.8833 0.0566 0.9713  1 P 1.54
O: 0.8825 0.7763 0.1563  1 P 1.53
O: 0.8972 0.8477 0.6412  1 P 1.52
O: 0.9007 0.2594 0.9508  1 P 1.52
O: 0.9016 0.1903 0.1251  1 P 1.53
O: 0.9403 0.3152 0.7887  1 P 1.53
O: 0.9650 0.0879 0.7100  1 P 1.54

---

# 5
This record from Materials Project describes Li9Mn2Co5O16 after structural relaxation. The functional is GGA+U.

Results
- Relative energy among the computed polymorphs: 0.036 eV/atom
- Symmetry: No. 1

a b c (Å): 5.9047 6.4634 7.8775
angles (deg): 87.50 75.85 76.36
Last column: nearest neighbours and their distance in Å.
Sites, in units of the cell vectors:
Li: 0.0000 0.0000 0.0000  5 O 2.07-2.18
Li: 0.0070 0.5210 0.5309  5 O 2.03-2.19
Li: 0.1255 0.8832 0.6444  6 O 2.00-2.21
Li: 0.2392 0.2555 0.7617  5 O 2.02-2.13
Li: 0.2513 0.7610 0.2753  6 O 2.08-2.20
Li: 0.4846 0.5293 0.5254  6 O 2.05-2.26
Li: 0.5104 0.9987 0.0088  6 O 1.98-2.20
Li: 0.7525 0.7661 0.2671  6 O 2.03-2.18
Li: 0.7725 0.2483 0.7631  5 O 2.04-2.20
Mn: 0.3750 0.1321 0.3976  6 O 1.86-2.00
Mn: 0.6327 0.3847 0.1401  6 O 1.92-1.96
Co: 0.1325 0.3876 0.1421  4 O 1.90-1.96
Co: 0.3727 0.6370 0.8851  5 O 1.91-2.06
Co: 0.6238 0.8847 0.6435  5 O 1.91-2.11
Co: 0.8800 0.1319 0.3992  5 O 1.87-2.07
Co: 0.8823 0.6357 0.8876  4 O 1.87-2.00
O: 0.0766 0.2016 0.5652  1 Mn 1.90, 4 Li 2.03-2.10, 1 Co 2.07
O: 0.0893 0.6784 0.0781  2 Co 1.90-1.94, 1 Li 2.12
O: 0.1752 0.5726 0.7205  2 Co 1.87-2.06, 4 Li 2.02-2.06
O: 0.1898 0.0965 0.2257  2 Co 1.95-1.97, 1 Mn 1.99, 1 Li 2.15
O: 0.3345 0.9317 0.8258  2 Co 1.91, 3 Li 2.07-2.11
O: 0.3390 0.4357 0.3250  2 Mn 1.94-2.00, 2 Li 2.09-2.14, 1 Co 2.18
O: 0.4340 0.8432 0.4472  1 Mn 1.86, 4 Li 2.03-2.08
O: 0.4461 0.3416 0.9762  2 Co 1.95-2.00, 1 Mn 1.96, 1 Li 2.17
O: 0.5637 0.1800 0.5622  2 Co 1.95-1.97, 1 Mn 1.98, 1 Li 2.13
O: 0.5888 0.6770 0.0720  1 Mn 1.92, 1 Co 1.94, 1 Li 2.09
O: 0.6648 0.5880 0.7062  2 Co 1.91-1.93, 2 Li 2.07-2.11
O: 0.6734 0.0900 0.2071  2 Mn 1.93-1.99, 1 Li 2.09
O: 0.8151 0.9268 0.8275  2 Co 1.89-2.11, 4 Li 1.98-2.09
O: 0.8186 0.4229 0.3072  2 Co 1.96-1.97, 1 Mn 1.96, 1 Li 2.18
O: 0.9135 0.8438 0.4575  2 Co 1.87-1.93, 1 Li 2.10
O: 0.9304 0.3321 0.9619  1 Mn 1.93, 2 Co 2.00-2.15, 3 Li 2.07-2.15

---

# 6
This record from Materials Project describes Li9Mn2Co5O16 after structural relaxation. The functional is GGA+U.

Results
- Relative energy among the computed polymorphs: 0.023 eV/atom
- Symmetry: No. 1

a b c (Å): 5.9059 5.9165 8.1160
angles (deg): 90.81 90.78 93.62
Last column: nearest neighbours and their distance in Å.
Sites, in units of the cell vectors:
Li: 0.0000 0.0000 0.0000  6 O 2.08-2.19
Li: 0.0006 0.4791 0.0018  6 O 2.09-2.27
Li: 0.2465 0.2413 0.7576  6 O 2.01-2.18
Li: 0.2470 0.2393 0.2498  6 O 1.99-2.16
Li: 0.2508 0.7401 0.2499  6 O 2.11-2.18
Li: 0.4922 0.9977 0.5062  5 O 2.07-2.28
Li: 0.4935 0.4811 0.5090  6 O 2.08-2.18
Li: 0.7444 0.2368 0.7579  4 O 2.08-2.13
Li: 0.7465 0.7403 0.7591  6 O 2.02-2.19
Mn: 0.9996 0.4784 0.5043  6 O 1.92-2.00
Mn: 0.2490 0.7405 0.7551  6 O 1.91-1.98
Co: 0.9999 0.9837 0.5045  4 O 1.88-1.95
Co: 0.4892 0.0010 0.0022  5 O 1.92-2.06
Co: 0.4927 0.4920 0.0033  4 O 1.87-1.94
Co: 0.7457 0.2364 0.2537  4 O 1.90-1.97
Co: 0.7487 0.7349 0.2522  4 O 1.90-1.95
O: 0.0036 0.5014 0.7405  2 Mn 1.92-1.96, 3 Li 2.13-2.14
O: 0.0193 0.9685 0.7357  1 Co 1.88, 1 Mn 1.98, 2 Li 2.04-2.05
O: 0.2105 0.2440 0.5023  1 Co 1.92, 1 Mn 1.92, 3 Li 2.06-2.11
O: 0.2454 0.7157 0.5143  2 Mn 1.95-1.96, 3 Li 2.08-2.15
O: 0.2465 0.7646 0.9905  1 Mn 1.91, 1 Co 1.94, 2 Li 2.08-2.11
O: 0.2674 0.2551 0.0051  2 Co 1.87-2.06, 2 Li 1.99-2.01
O: 0.4741 0.5156 0.7683  1 Co 1.92, 1 Mn 1.94, 3 Li 2.02-2.12
O: 0.4893 0.9784 0.7627  1 Mn 1.93, 1 Co 1.95, 3 Li 2.08-2.14
O: 0.5102 0.0018 0.2458  2 Co 1.90-1.98, 2 Li 2.11-2.12
O: 0.5132 0.5009 0.2421  2 Co 1.90-1.94
O: 0.7277 0.7323 0.0173  2 Co 1.91-1.92, 1 Li 2.10
O: 0.7383 0.2251 0.0161  2 Co 1.92-1.93, 3 Li 2.09-2.11
O: 0.7510 0.2505 0.4961  1 Mn 1.93, 1 Co 1.97, 3 Li 2.07-2.13
O: 0.7816 0.7232 0.4915  2 Co 1.95, 1 Mn 2.00, 1 Li 2.16
O: 0.9825 0.9746 0.2687  2 Co 1.91-1.92
O: 0.9861 0.4716 0.2648  1 Co 1.92, 1 Mn 1.94, 2 Li 2.13-2.14

---

no.,formation enthalpy at 0 K (eV/atom)
1,-2.25
2,-1.97
3,-0.04
4,-2.52
5,-1.83
6,-1.84